## Na9Mg2Nb4Si6P3O36 (PBE-GGA)

Data for a geometry-optimized Na9Mg2Nb4Si6P3O36 structure.

a = 9.064 Å, b = 27.141 Å, c = 22.395 Å
α = 89.93°, β = 90.05°, γ = 119.97°
Fractional positions:
P (0.997, 0.236, 0.751)
Nb (0.668, 0.778, 0.978)
O (0.672, 0.838, 0.239)
Si (0.622, 0.890, 0.920)
O (0.476, 0.725, 0.246)
Na (0.320, 0.557, 0.171)
O (0.172, 0.063, 0.695)
O (0.167, 0.399, 0.414)
P (0.667, 0.874, 0.586)
Na (0.022, 0.565, 0.577)
Nb (0.996, 0.333, 0.145)
Na (0.696, 0.347, 0.924)
O (0.039, 0.740, 0.188)
P (0.666, 0.015, 0.087)
Mg (0.331, 0.889, 0.017)
O (0.522, 0.609, 0.471)
O (0.180, 0.902, 0.754)
O (0.801, 0.610, 0.914)
Mg (0.325, 0.888, 0.518)
O (0.974, 0.393, 0.311)
O (0.350, 0.493, 0.357)
Si (0.667, 0.680, 0.084)
O (0.500, 0.283, 0.361)
O (0.362, 0.955, 0.579)
O (0.166, 0.395, 0.695)
O (0.869, 0.785, 0.640)
O (0.539, 0.612, 0.750)
Na (0.669, 0.324, 0.578)
O (0.013, 0.274, 0.696)
O (0.484, 0.780, 0.139)
O (0.186, 0.053, 0.091)
P (0.333, 0.460, 0.414)
Mg (0.008, 0.668, 0.147)
O (0.147, 0.165, 0.574)
O (0.530, 0.559, 0.256)
Na (0.355, 0.787, 0.244)
Si (0.338, 0.793, 0.419)
Na (0.002, 0.667, 0.008)
O (0.144, 0.829, 0.581)
O (0.819, 0.670, 0.806)
Si (0.709, 0.001, 0.749)
Na (0.650, 0.444, 0.841)
O (0.984, 0.270, 0.807)
O (0.502, 0.880, 0.860)
O (0.806, 0.991, 0.690)
O (0.123, 0.547, 0.358)
Si (0.999, 0.763, 0.247)
Si (0.626, 0.652, 0.414)
Nb (0.329, 0.888, 0.813)
O (0.642, 0.382, 0.136)
O (0.021, 0.609, 0.411)
O (0.859, 0.503, 0.419)
O (0.514, 0.884, 0.578)
O (0.476, 0.392, 0.243)
O (0.695, 0.720, 0.749)
O (0.154, 0.220, 0.073)
Mg (0.670, 0.777, 0.688)
Si (0.291, 0.664, 0.245)
Nb (0.328, 0.889, 0.313)
O (0.706, 0.511, 0.245)
O (0.155, 0.657, 0.913)
Si (0.293, 0.431, 0.750)
O (0.363, 0.503, 0.077)
O (0.629, 0.045, 0.422)
O (0.712, 0.518, 0.523)
O (0.788, 0.606, 0.192)
Na (0.981, 0.891, 0.920)
P (0.956, 0.541, 0.080)
O (0.019, 0.611, 0.692)
Na (0.680, 0.570, 0.086)
O (0.306, 0.490, 0.469)
O (0.636, 0.174, 0.650)
O (0.147, 0.881, 0.084)
Na (0.052, 0.778, 0.084)
O (0.456, 0.428, 0.029)
Nb (0.672, 0.111, 0.980)
O (0.503, 0.051, 0.921)
O (0.169, 0.564, 0.750)
Na (0.324, 0.219, 0.669)
O (0.810, 0.928, 0.312)
O (0.881, 0.120, 0.647)
O (0.512, 0.209, 0.856)
P (0.044, 0.459, 0.913)
O (0.701, 0.392, 0.745)
Na (0.623, 0.544, 0.757)
O (0.660, 0.717, 0.428)
P (0.293, 0.001, 0.252)
O (0.522, 0.548, 0.858)
Nb (0.340, 0.557, 0.522)
O (0.546, 0.899, 0.980)
P (0.041, 0.555, 0.414)
O (0.639, 0.709, 0.144)
O (0.173, 0.161, 0.968)
Mg (0.337, 0.557, 0.814)
O (0.322, 0.611, 0.253)
O (0.450, 0.383, 0.520)
O (0.688, 0.172, 0.252)
Nb (0.002, 0.333, 0.644)
Na (0.375, 0.120, 0.245)
Si (0.704, 0.234, 0.249)
Si (0.334, 0.124, 0.417)
Si (0.962, 0.875, 0.083)
O (0.641, 0.044, 0.140)
Mg (0.665, 0.444, 0.483)
O (0.028, 0.945, 0.693)
O (0.971, 0.052, 0.588)
O (0.688, 0.173, 0.531)
Si (0.666, 0.208, 0.590)
O (0.823, 0.768, 0.247)
Na (0.341, 0.556, 0.671)
O (0.143, 0.503, 0.576)
Nb (0.006, 0.334, 0.855)
O (0.513, 0.788, 0.422)
Si (0.376, 0.111, 0.086)
O (0.866, 0.455, 0.640)
Si (0.041, 0.126, 0.911)
O (0.481, 0.042, 0.642)
O (0.367, 0.832, 0.085)
Na (0.369, 0.329, 0.756)
Na (0.347, 0.349, 0.426)
O (0.136, 0.545, 0.077)
O (0.184, 0.337, 0.593)
O (0.525, 0.942, 0.755)
Na (0.327, 0.220, 0.165)
Na (0.662, 0.107, 0.326)
O (0.831, 0.605, 0.593)
O (0.469, 0.053, 0.243)
O (0.867, 0.503, 0.138)
O (0.316, 0.284, 0.971)
Mg (0.335, 0.558, 0.315)
P (0.337, 0.321, 0.913)
O (0.491, 0.453, 0.421)
O (0.515, 0.229, 0.254)
O (0.640, 0.838, 0.641)
O (0.198, 0.390, 0.809)
P (0.711, 0.668, 0.750)
O (0.817, 0.282, 0.912)
O (0.537, 0.235, 0.974)
O (0.362, 0.628, 0.851)
O (0.365, 0.833, 0.359)
O (0.012, 0.945, 0.412)
Na (0.657, 0.987, 0.579)
O (0.127, 0.494, 0.857)
Na (0.308, 0.326, 0.076)
Na (0.966, 0.095, 0.411)
Na (0.984, 0.772, 0.423)
O (0.826, 0.600, 0.305)
Si (0.045, 0.222, 0.416)
O (0.160, 0.233, 0.752)
O (0.510, 0.895, 0.253)
Nb (0.666, 0.443, 0.185)
O (0.495, 0.380, 0.919)
P (0.288, 0.097, 0.750)
O (0.318, 0.162, 0.471)
O (0.014, 0.394, 0.196)
O (0.463, 0.099, 0.027)
O (0.480, 0.725, 0.530)
O (0.889, 0.175, 0.148)
Na (0.367, 0.460, 0.255)
O (0.139, 0.880, 0.360)
O (0.799, 0.272, 0.190)
Na (0.665, 0.229, 0.087)
O (0.980, 0.388, 0.592)
O (0.501, 0.954, 0.365)
O (0.691, 0.845, 0.528)
O (0.173, 0.733, 0.690)
Mg (0.998, 0.998, 0.351)
O (0.841, 0.429, 0.522)
Si (0.043, 0.792, 0.921)
O (0.032, 0.280, 0.410)
Na (0.626, 0.872, 0.745)
O (0.979, 0.272, 0.086)
P (0.619, 0.553, 0.915)
O (0.364, 0.285, 0.581)
Nb (0.328, 0.555, 0.021)
Si (0.333, 0.652, 0.912)
Nb (0.333, 0.221, 0.523)
O (0.826, 0.842, 0.748)
Si (0.628, 0.223, 0.914)
O (0.833, 0.179, 0.752)
O (0.017, 0.728, 0.907)
Si (0.707, 0.332, 0.750)
Na (0.307, 0.783, 0.577)
O (0.181, 0.721, 0.808)
O (0.492, 0.127, 0.144)
O (0.828, 0.336, 0.090)
O (0.301, 0.275, 0.256)
O (0.804, 0.325, 0.691)
O (0.842, 0.847, 0.023)
P (0.712, 0.570, 0.248)
Nb (0.991, 0.332, 0.354)
O (0.475, 0.776, 0.027)
O (0.988, 0.064, 0.311)
O (0.834, 0.674, 0.084)
P (0.374, 0.777, 0.083)
O (0.855, 0.831, 0.423)
O (0.165, 0.063, 0.415)
O (0.307, 0.826, 0.757)
O (0.855, 0.788, 0.922)
Na (0.679, 0.776, 0.825)
Nb (0.994, 0.000, 0.855)
O (0.173, 0.996, 0.907)
O (0.547, 0.951, 0.476)
O (0.168, 0.826, 0.260)
Na (0.699, 0.552, 0.422)
Mg (0.657, 0.442, 0.983)
O (0.111, 0.159, 0.850)
O (0.687, 0.056, 0.748)
O (0.818, 0.657, 0.414)
Na (0.995, 0.127, 0.750)
O (0.647, 0.167, 0.928)
O (0.642, 0.832, 0.920)
Si (0.957, 0.111, 0.587)
O (0.513, 0.954, 0.080)
Na (0.304, 0.885, 0.661)
Si (0.704, 0.904, 0.253)
Si (0.668, 0.347, 0.077)
O (0.304, 0.945, 0.255)
Na (0.314, 0.007, 0.416)
Si (0.003, 0.570, 0.749)
O (0.285, 0.947, 0.977)
O (0.131, 0.211, 0.356)
Na (0.307, 0.986, 0.077)
O (0.851, 0.513, 0.024)
O (0.166, 0.902, 0.474)
Mg (0.670, 0.112, 0.185)
Na (0.991, 0.005, 0.001)
Si (0.338, 0.986, 0.919)
Nb (0.011, 0.668, 0.353)
O (0.504, 0.218, 0.576)
Na (0.668, 0.779, 0.333)
O (0.970, 0.722, 0.307)
O (0.802, 0.996, 0.410)
O (0.149, 0.562, 0.471)
Nb (0.330, 0.221, 0.018)
O (0.864, 0.451, 0.919)
O (0.835, 0.342, 0.808)
O (0.359, 0.163, 0.356)
Si (0.044, 0.892, 0.420)
O (0.304, 0.608, 0.970)
O (0.806, 0.944, 0.193)
O (0.851, 0.116, 0.927)
P (0.997, 0.096, 0.254)
Na (0.655, 0.900, 0.075)
O (0.860, 0.164, 0.425)
Nb (0.667, 0.444, 0.686)
O (0.170, 0.325, 0.912)
Na (0.381, 0.004, 0.745)
O (0.462, 0.101, 0.748)
O (0.825, 0.508, 0.744)
O (0.641, 0.502, 0.641)
O (0.853, 0.774, 0.527)
O (0.353, 0.167, 0.072)
O (0.165, 0.654, 0.192)
Si (0.958, 0.444, 0.580)
Si (0.375, 0.347, 0.580)
O (0.197, 0.009, 0.588)
O (0.820, 0.943, 0.910)
O (0.811, 0.663, 0.695)
Nb (0.669, 0.777, 0.189)
O (0.169, 0.323, 0.192)
O (0.831, 0.100, 0.527)
O (0.689, 0.051, 0.028)
O (0.184, 0.676, 0.586)
Si (0.627, 0.321, 0.418)
O (0.832, 0.272, 0.305)
Nb (0.993, 0.665, 0.856)
O (0.478, 0.433, 0.745)
O (0.191, 0.674, 0.306)
Si (0.959, 0.207, 0.087)
O (0.833, 0.010, 0.090)
O (0.168, 0.156, 0.252)
O (0.848, 0.832, 0.138)
O (0.526, 0.560, 0.971)
O (0.495, 0.617, 0.074)
O (0.212, 0.009, 0.308)
O (0.033, 0.064, 0.913)
O (0.022, 0.064, 0.198)
O (0.687, 0.724, 0.028)
Si (0.378, 0.682, 0.587)
Na (0.620, 0.661, 0.256)
O (0.174, 0.993, 0.195)
Na (0.004, 0.330, 0.502)
Na (0.669, 0.442, 0.337)
P (0.959, 0.780, 0.586)
O (0.477, 0.704, 0.649)
Na (0.020, 0.549, 0.251)
O (0.537, 0.283, 0.478)
Nb (0.999, 0.669, 0.645)
O (0.295, 0.816, 0.478)
O (0.972, 0.599, 0.088)
O (0.298, 0.155, 0.749)
O (0.167, 0.729, 0.407)
Na (0.998, 0.667, 0.499)
Nb (0.998, 0.000, 0.148)
O (0.519, 0.277, 0.753)
Na (0.015, 0.461, 0.755)
Si (0.290, 0.333, 0.250)
Nb (0.003, 0.999, 0.644)
Nb (0.668, 0.114, 0.482)
Na (0.014, 0.999, 0.494)
O (0.200, 0.345, 0.309)
O (0.026, 0.398, 0.912)
O (0.834, 0.935, 0.588)
O (0.498, 0.457, 0.144)
Si (0.000, 0.432, 0.251)
O (0.186, 0.389, 0.094)
Mg (0.332, 0.221, 0.816)
O (0.493, 0.547, 0.577)
P (0.622, 0.986, 0.420)
Si (0.377, 0.445, 0.083)
O (0.505, 0.117, 0.424)
Na (0.014, 0.338, 0.000)
Na (0.614, 0.206, 0.748)
O (0.169, 0.493, 0.252)
O (0.489, 0.717, 0.927)
O (0.971, 0.938, 0.091)
O (0.341, 0.617, 0.572)
O (0.845, 0.105, 0.247)
Na (0.384, 0.667, 0.749)
O (0.829, 0.438, 0.243)
Na (0.331, 0.770, 0.922)
O (0.969, 0.599, 0.809)
O (0.173, 0.234, 0.472)
O (0.835, 0.272, 0.587)
O (0.657, 0.504, 0.922)
O (0.360, 0.955, 0.859)
O (0.139, 0.834, 0.862)
O (0.156, 0.489, 0.970)
O (0.467, 0.052, 0.529)
Na (0.957, 0.435, 0.423)
O (0.156, 0.814, 0.979)
O (0.502, 0.380, 0.639)
O (0.827, 0.173, 0.031)
Na (0.714, 0.895, 0.410)
Si (0.998, 0.902, 0.750)
O (0.698, 0.382, 0.018)
Na (0.959, 0.551, 0.922)
Si (0.290, 0.763, 0.751)
O (0.354, 0.292, 0.858)
P (0.377, 0.013, 0.586)
O (0.987, 0.938, 0.808)
O (0.835, 0.008, 0.806)
Na (0.680, 0.111, 0.832)
O (0.526, 0.628, 0.353)
Na (0.987, 0.206, 0.242)
O (0.316, 0.493, 0.752)
Mg (0.670, 0.112, 0.684)
Nb (0.667, 0.777, 0.480)
O (0.644, 0.383, 0.415)
Na (0.336, 0.893, 0.164)
O (0.971, 0.723, 0.587)
Nb (0.340, 0.222, 0.313)
O (0.197, 0.061, 0.806)
O (0.198, 0.724, 0.082)
O (0.474, 0.768, 0.751)
O (0.818, 0.327, 0.412)
O (0.493, 0.284, 0.080)
Na (0.340, 0.103, 0.913)
Si (0.665, 0.541, 0.581)

Formation energy (eV/atom): -2.89
Energy (eV per cell): -2586.44
MP2020-corrected energy (eV per atom): -7.5968